P:
VP3O9 | PBE+U | relaxed

Properties
Calculated volume, Å³/f.u.: 160.3
Space-group type: P2_12_12_1 (19)

The structure in POSCAR format:
```
VP3O9
1.0
8.5557 0.0000 0.0000
0.0000 8.5984 0.0000
0.0000 0.0000 8.7154
V P O
4 12 36
Cartesian
1.1082 1.2385 1.3575 V
3.1696 7.3599 5.7152 V
5.3861 3.0607 7.3579 V
7.4475 5.5376 3.0002 V
0.2856 5.8249 5.9850 P
1.5931 4.4337 1.6518 P
1.7266 1.6406 4.8306 P
2.5513 6.9578 0.4729 P
2.6848 4.1647 6.0095 P
3.9923 2.7735 1.6273 P
4.5634 7.0727 2.7304 P
5.8709 8.4639 7.0636 P
6.0044 2.6586 3.8849 P
6.8291 5.9398 8.2426 P
6.9626 0.1345 2.7059 P
8.2701 1.5257 7.0881 P
0.3864 1.8888 5.6811 O
0.7719 1.0880 8.0479 O
0.8883 3.2302 1.0874 O
0.8971 5.1520 2.7787 O
1.1814 6.9590 5.5880 O
1.1966 4.5624 6.4626 O
1.3131 1.3600 3.4228 O
1.6322 7.8958 1.1951 O
1.8940 5.4796 0.4687 O
2.3839 3.1188 4.8264 O
2.6456 0.7025 5.5528 O
2.9648 7.2384 7.7805 O
3.0813 4.0360 2.1049 O
3.0965 1.6393 1.2303 O
3.3808 3.4464 7.1364 O
3.3896 5.3682 5.4451 O
3.5060 7.5104 3.6902 O
3.8915 6.7095 1.3234 O
4.6642 2.4104 3.0343 O
5.0497 3.2112 0.6675 O
5.1661 1.0690 7.6280 O
5.1749 7.7456 5.9367 O
5.4592 5.9385 3.1274 O
5.4744 8.3351 2.2528 O
5.5909 2.9392 5.2926 O
5.9101 5.0017 7.5203 O
6.1718 7.4180 8.2467 O
6.6617 1.1804 3.8890 O
6.9234 3.5967 3.1626 O
7.2426 5.6592 0.9349 O
7.3591 0.2632 6.6105 O
7.3743 2.6598 7.4851 O
7.6586 0.8528 1.5790 O
7.6674 7.5294 3.2703 O
7.7838 5.3872 5.0253 O
8.1693 6.1880 7.3920 O
```

---

Q:
VP3O9 | PBE+U | relaxed

Properties
Calculated volume, Å³/f.u.: 167.1
Space-group type: Cc (9)

The structure in POSCAR format:
```
VP3O9
1.0
6.7307 -9.7138 0.0000
6.7307 9.7138 0.0000
-5.8242 0.0000 7.6680
V P O
6 18 54
Cartesian
3.8186 8.1633 3.8340 V
6.7992 4.9515 0.2578 V
3.8040 1.7149 3.8116 V
0.8919 -1.7149 7.6456 V
3.8871 -4.9515 4.0918 V
6.7307 -8.1633 0.0000 V
0.9630 7.0605 5.2911 P
1.9085 3.6213 1.8923 P
3.8575 5.8907 1.5063 P
-2.9643 0.6088 6.2995 P
-0.9042 2.7925 6.0575 P
-0.0522 -0.6088 2.4655 P
0.9083 0.5157 5.0712 P
3.8204 -0.5157 1.2372 P
2.0079 -2.7925 2.2235 P
-1.0037 -3.6213 5.7262 P
3.7912 3.8504 6.5003 P
6.7773 2.6560 2.6649 P
0.9454 -5.8907 5.3403 P
8.5837 0.3905 1.7411 P
3.8751 -7.0605 1.4571 P
5.6716 -0.3905 5.5751 P
3.8651 -2.6560 6.4988 P
6.7033 -3.8504 2.6663 P
1.4955 2.6010 0.8777 O
2.9287 4.6233 1.1445 O
3.3182 6.5364 2.7581 O
2.3644 7.5756 5.1949 O
0.5305 6.4005 6.5686 O
5.2542 8.6466 2.4378 O
0.4717 -0.0076 1.1855 O
-2.4404 0.0076 5.0195 O
-1.9434 1.7738 6.7496 O
-0.4270 3.6938 7.1513 O
0.1252 0.4273 3.6731 O
5.3110 5.5322 1.5208 O
2.5079 3.1497 3.1917 O
-2.7869 -0.4273 7.5070 O
0.3486 1.8978 5.6340 O
-1.4166 -2.6010 4.7116 O
0.9687 -1.7738 2.9156 O
8.1325 6.3117 0.9935 O
2.3205 4.0930 6.6811 O
3.4077 0.6029 2.1426 O
4.4220 5.2434 6.0424 O
0.4956 -0.6029 5.9765 O
2.3744 0.7018 4.8167 O
5.2797 2.6148 2.7541 O
3.2607 -1.8978 1.8000 O
7.3722 3.6386 1.6976 O
4.2036 2.7786 5.5375 O
5.2865 -0.7018 0.9827 O
0.0166 -4.6233 4.9785 O
-0.4042 -3.1497 7.0257 O
2.4852 -3.6938 3.3173 O
10.3222 3.6743 0.2560 O
5.1806 0.3722 4.3806 O
7.3333 1.1978 2.3321 O
7.3977 2.8370 4.1237 O
8.0927 -0.3722 0.5466 O
2.3676 -2.6148 6.5880 O
9.5667 1.4765 1.1093 O
4.4211 -1.1978 6.1661 O
0.4060 -6.5364 6.5920 O
3.4427 -6.4005 2.7346 O
5.2326 -4.0930 2.8471 O
2.3989 -5.5322 5.3548 O
7.1157 -2.7786 1.7035 O
6.3072 0.3629 6.7025 O
4.4601 -3.6386 5.5315 O
6.6546 -1.4765 4.9433 O
5.2765 -7.5756 1.3609 O
9.2193 -0.3629 2.8685 O
10.3098 -2.8370 0.2897 O
7.3341 -5.2434 2.2085 O
7.4101 -3.6743 4.0899 O
2.3421 -8.6466 6.2717 O
5.2203 -6.3117 4.8275 O
```

---

Relative energies with respect to the most stable structure, expressed in eV/atom: P 0.015; Q 0.000.

---

P:
MgMoOsPb2O6 | PBE+U | relaxed

Properties
Calculated volume, Å³/f.u.: 180.8
Space-group type: P1 (1)

The structure in POSCAR format:
```
MgMoOsPb2O6
1.0
5.8832 0.0000 0.0000
-2.7858 5.3818 0.0000
-2.7694 -1.5031 5.7107
Mg Mo Os Pb O
1 1 1 2 6
Cartesian
0.0000 0.0000 0.0000 Mg
0.1608 3.7184 2.5961 Mo
3.0172 1.8890 1.4247 Os
-2.5299 1.7129 5.4314 Pb
0.2551 0.4046 3.9646 Pb
-1.4433 2.7088 2.4863 O
1.5898 1.1291 0.1483 O
1.6562 2.4785 2.7776 O
2.8293 3.4728 0.1364 O
3.2461 0.2050 2.4010 O
4.4179 1.3089 0.0398 O
```

---

Q:
MgMoOsPb2O6 | PBE+U | relaxed

Properties
Calculated volume, Å³/f.u.: 185.3
Space-group type: P1 (1)

The structure in POSCAR format:
```
MgMoOsPb2O6
1.0
5.9583 0.0000 0.0000
-2.8307 5.3556 0.0000
-2.9517 -1.7038 5.8072
Mg Mo Os Pb O
1 1 1 2 6
Cartesian
0.0000 0.0000 0.0000 Mg
3.0195 1.8622 1.6559 Mo
0.0876 3.6375 2.8763 Os
0.2263 3.2229 0.0423 Pb
0.0967 0.1853 4.3316 Pb
-1.4541 2.6768 3.0280 O
1.5531 1.1401 0.2362 O
2.8024 3.4903 0.2662 O
1.5985 2.5445 3.1279 O
3.2097 0.0776 2.9214 O
4.5119 1.2862 0.1933 O
```

---

Relative energies with respect to the most stable structure, expressed in eV/atom: P 0.156; Q 0.000.

---

P:
MgV4O8 | PBE+U | relaxed

Properties
Calculated volume, Å³/f.u.: 159.3
Space-group type: P1 (1)

The structure in POSCAR format:
```
MgV4O8
1.0
5.2574 0.0000 0.0000
-2.1978 4.7767 0.0000
-0.0270 -0.0407 6.3424
Mg V O
1 4 8
Cartesian
0.0000 0.0000 0.0000 Mg
0.3131 3.1267 4.7214 V
0.3365 3.1615 1.6227 V
2.8861 1.5308 0.0009 V
5.1357 0.0634 3.1710 V
-0.5761 1.9854 6.3352 O
-1.4148 4.2057 4.6363 O
-1.3620 4.2875 1.7062 O
-0.2475 1.8943 3.1551 O
1.9081 2.0890 4.9949 O
1.9547 2.1602 1.3494 O
0.9949 4.4445 0.0087 O
1.2231 4.1918 3.1890 O
```

---

Q:
MgV4O8 | PBE+U | relaxed

Properties
Calculated volume, Å³/f.u.: 183.9
Space-group type: P1 (1)

The structure in POSCAR format:
```
MgV4O8
1.0
5.6324 0.0000 0.0000
2.7192 4.9348 0.0000
0.0266 0.0072 6.6160
Mg V O
1 4 8
Cartesian
0.0000 0.0000 0.0000 Mg
1.9311 1.1309 4.7444 V
1.9409 1.1402 1.8248 V
4.6294 2.7276 3.2752 V
6.1503 3.6230 6.5864 V
4.6751 4.6388 6.5885 O
4.7466 4.5444 3.2787 O
3.7182 2.1929 4.6461 O
3.7334 2.1939 1.8906 O
7.0698 4.1660 1.2807 O
7.1100 4.1993 5.3007 O
6.2770 1.9537 3.2819 O
6.3284 1.8411 6.5744 O
```

---

R:
MgV4O8 | PBE+U | relaxed

Properties
Calculated volume, Å³/f.u.: 146.3
Space-group type: Pm (6)

The structure in POSCAR format:
```
MgV4O8
1.0
5.1486 0.0000 0.0000
0.0000 3.0600 0.0000
-0.0853 0.0000 9.2886
Mg V O
1 4 8
Cartesian
0.0000 0.0000 0.0000 Mg
0.0572 0.0000 2.8512 V
0.4458 1.5300 5.3640 V
2.6443 1.5300 0.7503 V
2.9800 0.0000 7.2616 V
0.8465 1.5300 1.6780 O
1.2486 0.0000 4.2394 O
1.8153 0.0000 8.9032 O
1.9696 1.5300 6.4423 O
3.7362 0.0000 1.5748 O
3.9616 1.5300 8.4927 O
4.4123 1.5300 3.8277 O
4.6635 0.0000 6.1962 O
```

---

Relative energies with respect to the most stable structure, expressed in eV/atom: P 0.097; Q 0.348; R 0.000.

---

P:
MgV4O8 | PBE+U | relaxed

Properties
Calculated volume, Å³/f.u.: 138.8
Space-group type: P1 (1)

The structure in POSCAR format:
```
MgV4O8
1.0
4.8624 0.0000 0.0000
0.1592 5.6577 0.0000
0.0819 2.6113 5.0440
Mg V O
1 4 8
Cartesian
0.0000 0.0000 0.0000 Mg
0.0477 1.3131 2.5187 V
0.1652 5.4408 5.0274 V
2.5131 2.6202 5.0365 V
2.5565 4.1339 2.5076 V
1.1329 5.5075 3.2306 O
1.1690 1.3081 0.8336 O
1.4030 2.6346 3.4334 O
1.4693 4.2183 0.7282 O
3.6423 4.0522 4.2868 O
3.6996 5.6400 1.5915 O
3.9428 6.9693 4.1882 O
3.9789 2.7628 1.7792 O
```

---

Q:
MgV4O8 | PBE+U | relaxed

Properties
Calculated volume, Å³/f.u.: 184.3
Space-group type: P1 (1)

The structure in POSCAR format:
```
MgV4O8
1.0
5.6331 0.0000 0.0000
2.7458 4.9359 0.0000
0.0185 0.0276 6.6271
Mg V O
1 4 8
Cartesian
0.0000 0.0000 0.0000 Mg
2.2258 1.3249 0.0326 V
3.7814 2.2496 3.3466 V
6.4674 3.8396 4.7945 V
6.4813 3.8441 1.8781 V
2.0603 3.1081 0.0267 O
2.1327 3.0185 3.3425 O
1.2573 0.7619 1.3172 O
1.3127 0.7839 5.3477 O
4.6827 2.7771 4.7283 O
4.6919 2.7906 1.9793 O
3.6522 0.4335 3.3400 O
3.7093 0.3255 0.0509 O
```

---

Relative energies with respect to the most stable structure, expressed in eV/atom: P 0.000; Q 0.229.